Entry 1:
{"formula": "Li6NiOF6", "functional": "PBE with a Hubbard U", "state": "optimized geometry", "lattice": [[0.282, 0.345, -2.869], [-14.249, -1.028, -2.994], [0.029, 5.765, 0.696]], "species": ["O", "O", "Li", "Li", "Li", "Li", "Li", "Li", "Li", "Li", "Li", "Li", "Li", "Li", "F", "F", "F", "F", "F", "F", "F", "F", "F", "F", "F", "F", "Ni", "Ni"], "fractional_positions": [[0.500, 0.000, 0.250], [0.500, 0.000, 0.750], [0.145, 0.710, 0.428], [0.427, 0.145, 0.786], [0.573, 0.855, 0.714], [0.855, 0.290, 0.572], [0.715, 0.571, 0.643], [0.145, 0.710, 0.928], [0.855, 0.290, 0.072], [0.285, 0.429, 0.857], [0.427, 0.145, 0.286], [0.715, 0.571, 0.143], [0.285, 0.429, 0.357], [0.573, 0.855, 0.214], [0.356, 0.289, 0.322], [0.785, 0.430, 0.607], [0.925, 0.150, 0.037], [0.785, 0.430, 0.107], [0.215, 0.570, 0.893], [0.925, 0.150, 0.537], [0.075, 0.850, 0.963], [0.356, 0.289, 0.822], [0.644, 0.711, 0.678], [0.215, 0.570, 0.393], [0.075, 0.850, 0.463], [0.644, 0.711, 0.178], [0.000, 0.000, 0.500], [0.000, 0.000, 0.000]], "polymorph_energy_ev_per_fu": 0.000}

Entry 2:
{"formula": "Li5NiO3F", "functional": "PBE with a Hubbard U", "state": "optimized geometry", "lattice": [[4.657, -4.599, 0.000], [4.657, 4.599, 0.000], [-1.132, 0.000, 4.591]], "species": ["Li", "Li", "Li", "Li", "Li", "Li", "Li", "Li", "Li", "Li", "Ni", "Ni", "O", "O", "O", "O", "O", "O", "F", "F"], "fractional_positions": [[0.084, 0.659, 0.616], [0.139, 0.139, 0.880], [0.170, 0.570, 0.127], [0.341, 0.916, 0.384], [0.430, 0.830, 0.873], [0.570, 0.170, 0.127], [0.659, 0.084, 0.616], [0.830, 0.430, 0.873], [0.861, 0.861, 0.120], [0.916, 0.341, 0.384], [0.373, 0.373, 0.626], [0.627, 0.627, 0.374], [0.108, 0.399, 0.747], [0.360, 0.640, 0.500], [0.399, 0.108, 0.747], [0.601, 0.892, 0.253], [0.640, 0.360, 0.500], [0.892, 0.601, 0.253], [0.147, 0.853, 0.000], [0.853, 0.147, 0.000]], "dft_energy_ev_per_atom": -4.7200, "spacegroup": "C2/m, No. 12"}

Entry 3:
{"formula": "Li3Ni5OF11", "functional": "PBE with a Hubbard U", "state": "optimized geometry", "lattice": [[5.128, 0.000, 0.000], [2.503, 4.885, 0.000], [0.047, 2.684, 8.480]], "species": ["Li", "Li", "Li", "Ni", "Ni", "Ni", "Ni", "Ni", "O", "F", "F", "F", "F", "F", "F", "F", "F", "F", "F", "F"], "fractional_positions": [[0.000, 0.000, 0.000], [0.067, 0.225, 0.355], [0.582, 0.718, 0.866], [0.272, 0.218, 0.754], [0.301, 0.498, 0.096], [0.531, 0.488, 0.498], [0.762, 0.711, 0.260], [0.806, 0.967, 0.595], [0.772, 0.630, 0.454], [0.233, 0.476, 0.297], [0.257, 0.141, 0.954], [0.257, 0.829, 0.645], [0.313, 0.572, 0.893], [0.316, 0.884, 0.202], [0.362, 0.235, 0.555], [0.715, 0.983, 0.801], [0.744, 0.328, 0.140], [0.819, 0.073, 0.396], [0.824, 0.378, 0.706], [0.858, 0.725, 0.059]], "spacegroup": "P1, No. 1", "polymorph_energy_ev_per_fu": 14.394}

Entry 4:
{"formula": "LiNi2O2F", "functional": "PBE with a Hubbard U", "state": "optimized geometry", "lattice": [[2.960, 0.000, 0.000], [0.000, 2.960, 0.000], [0.000, 0.000, 12.577]], "species": ["Li", "Li", "Ni", "Ni", "Ni", "Ni", "O", "O", "O", "O", "F", "F"], "fractional_positions": [[0.250, 0.250, 0.084], [0.750, 0.750, 0.916], [0.250, 0.250, 0.415], [0.250, 0.250, 0.750], [0.750, 0.750, 0.250], [0.750, 0.750, 0.585], [0.250, 0.250, 0.247], [0.250, 0.250, 0.584], [0.750, 0.750, 0.416], [0.750, 0.750, 0.753], [0.250, 0.250, 0.922], [0.750, 0.750, 0.078]], "dft_energy_ev_per_atom": -4.8755, "spacegroup": "P4/nmm, No. 129"}

Entry 5:
{"formula": "Li3Ni5OF11", "functional": "PBE with a Hubbard U", "state": "optimized geometry", "lattice": [[5.104, 0.000, 0.000], [2.488, 4.897, 0.000], [0.088, 2.754, 8.468]], "species": ["Li", "Li", "Li", "Ni", "Ni", "Ni", "Ni", "Ni", "O", "F", "F", "F", "F", "F", "F", "F", "F", "F", "F", "F"], "fractional_positions": [[0.000, 0.000, 0.000], [0.225, 0.260, 0.733], [0.758, 0.732, 0.242], [0.062, 0.215, 0.351], [0.303, 0.481, 0.093], [0.541, 0.459, 0.504], [0.559, 0.743, 0.853], [0.838, 0.977, 0.597], [0.960, 0.223, 0.543], [0.004, 0.562, 0.898], [0.017, 0.866, 0.201], [0.084, 0.309, 0.152], [0.089, 0.615, 0.457], [0.117, 0.959, 0.802], [0.482, 0.709, 0.048], [0.511, 0.056, 0.396], [0.515, 0.384, 0.711], [0.571, 0.125, 0.962], [0.587, 0.817, 0.649], [0.603, 0.471, 0.294]], "spacegroup": "P1, No. 1", "polymorph_energy_ev_per_fu": 12.298}

Entry 6:
{"formula": "Li2NiO2F", "functional": "PBE with a Hubbard U", "state": "optimized geometry", "lattice": [[5.020, 0.000, 0.000], [-1.627, 4.750, 0.000], [-1.591, -2.439, 8.689]], "species": ["Li", "Li", "Li", "Li", "Li", "Li", "Li", "Li", "Ni", "Ni", "Ni", "Ni", "O", "O", "O", "O", "O", "O", "O", "O", "F", "F", "F", "F"], "fractional_positions": [[0.000, 0.000, 0.000], [0.059, 0.583, 0.162], [0.134, 0.160, 0.337], [0.238, 0.745, 0.499], [0.420, 0.945, 0.837], [0.665, 0.664, 0.337], [0.817, 0.844, 0.661], [0.916, 0.413, 0.837], [0.326, 0.322, 0.660], [0.499, 0.513, 0.998], [0.581, 0.077, 0.160], [0.729, 0.242, 0.498], [0.204, 0.219, 0.832], [0.286, 0.765, 0.008], [0.486, 0.464, 0.507], [0.582, 0.112, 0.658], [0.725, 0.280, 0.006], [0.789, 0.818, 0.158], [0.856, 0.372, 0.332], [0.970, 0.024, 0.506], [0.099, 0.603, 0.667], [0.306, 0.313, 0.167], [0.376, 0.884, 0.331], [0.692, 0.698, 0.831]], "spacegroup": "P1, No. 1", "polymorph_energy_ev_per_fu": 0.531}

Entry 7:
{"formula": "Li4NiOF4", "functional": "PBE with a Hubbard U", "state": "optimized geometry", "lattice": [[0.000, -2.059, -2.059], [0.000, 8.235, -8.235], [10.393, -2.058, 4.118]], "species": ["F", "F", "F", "F", "F", "F", "F", "F", "F", "F", "F", "F", "F", "F", "F", "F", "Li", "Li", "Li", "Li", "Li", "Li", "Li", "Li", "Li", "Li", "Li", "Li", "Li", "Li", "Li", "Li", "Ni", "Ni", "Ni", "Ni", "O", "O", "O", "O"], "fractional_positions": [[0.701, 0.526, 0.402], [0.299, 0.474, 0.598], [0.104, 0.078, 0.209], [0.104, 0.828, 0.209], [0.104, 0.328, 0.209], [0.104, 0.578, 0.209], [0.701, 0.776, 0.402], [0.701, 0.026, 0.402], [0.299, 0.724, 0.598], [0.299, 0.974, 0.598], [0.896, 0.672, 0.791], [0.896, 0.922, 0.791], [0.896, 0.422, 0.791], [0.701, 0.276, 0.402], [0.896, 0.172, 0.791], [0.299, 0.224, 0.598], [0.202, 0.151, 0.403], [0.798, 0.349, 0.597], [0.202, 0.651, 0.403], [0.601, 0.451, 0.202], [0.399, 0.299, 0.798], [0.601, 0.701, 0.201], [0.798, 0.099, 0.597], [0.399, 0.049, 0.799], [0.399, 0.549, 0.799], [0.601, 0.201, 0.201], [0.202, 0.901, 0.403], [0.798, 0.599, 0.597], [0.202, 0.401, 0.403], [0.798, 0.849, 0.597], [0.601, 0.951, 0.202], [0.399, 0.799, 0.798], [0.000, 0.000, 0.000], [0.000, 0.250, 0.000], [0.000, 0.500, 0.000], [0.000, 0.750, 0.000], [0.500, 0.625, 0.000], [0.500, 0.125, 0.000], [0.500, 0.375, 0.000], [0.500, 0.875, 0.000]], "dft_energy_ev_per_atom": -4.8296}

Entry 8:
{"formula": "Li4Ni3O3F4", "functional": "PBE with a Hubbard U", "state": "optimized geometry", "lattice": [[-1.471, 1.471, 14.530], [1.471, -1.471, 14.530], [1.471, 1.471, -14.530]], "species": ["Li", "Li", "Li", "Li", "Ni", "Ni", "Ni", "O", "O", "O", "F", "F", "F", "F"], "fractional_positions": [[0.145, 0.145, 0.000], [0.284, 0.284, 0.000], [0.716, 0.716, 0.000], [0.855, 0.855, 0.000], [0.000, 0.000, 0.000], [0.428, 0.428, 0.000], [0.572, 0.572, 0.000], [0.073, 0.073, 0.000], [0.500, 0.500, 0.000], [0.927, 0.927, 0.000], [0.215, 0.215, 0.000], [0.353, 0.353, 0.000], [0.647, 0.647, 0.000], [0.785, 0.785, 0.000]], "dft_energy_ev_per_atom": -4.8575, "spacegroup": "I4/mmm, No. 139"}

Calculated volume in Å³/atom, matching the order above: 8.70, 9.83, 10.62, 9.18, 10.58, 8.63, 8.81, 8.99
Total magnetization in μB/cell, matching the order above: 0.00, 0.00, 0.01, 8.00, 10.00, 4.00, 0.00, 6.01